[1]
Entry from the Materials Project: Ba2Ni2ClF7 after structural relaxation (PBE+U).

a = 7.7477 Å, b = 5.8485 Å, c = 8.9404 Å
α = 90.00°, β = 106.78°, γ = 90.00°
With the nearest neighbours (Å) after each atom.
Space group P2_1/m (No. 11)
Unique sites:
Ba (0.1699, 0.2500, 0.4124) x2  6 F 2.66-2.70
Ba (0.2045, 0.2500, 0.9280) x2  12 F 2.76-3.09
Ni (0.3184, 0.7500, 0.1747) x2  5 F 1.99-2.05
Ni (0.3246, 0.7500, 0.7337) x2  5 F 2.01-2.04
Cl (0.3829, 0.7500, 0.4703) x2  2 Ni 2.52-2.54
F (0.1320, 0.5097, 0.1602) x4  1 Ni 1.99
F (0.1386, 0.5051, 0.6551) x4  1 Ni 2.01
F (0.2511, 0.7500, 0.9355) x2  2 Ni 2.04-2.05
F (0.4972, 0.0008, 0.1738) x4  2 Ni 2.01-2.02

Computed properties:
**Energy of formation**: -3.05 eV/atom
**Calculated density**: 4.80 Mg/m³
**Raw total energy**: -4.915 eV/atom



[2]
Entry from the Materials Project: LiMn3B3O9 after structural relaxation (PBE+U).

a = 5.9200 Å, b = 7.9339 Å, c = 9.1201 Å
α = 109.56°, β = 107.22°, γ = 98.61°
With the nearest neighbours (Å) after each atom.
Space group P-1 (No. 2)
Unique sites:
Li (0.1089, 0.2924, 0.2882) x2  4 O 1.90-2.12
Mn (0.0184, 0.2724, 0.6016) x2  5 O 1.98-2.14
Mn (0.3015, 0.0545, 0.0786) x2  5 O 2.01-2.14
Mn (0.3976, 0.6299, 0.2531) x2  4 O 1.94-2.10
B (0.0508, 0.3030, 0.9463) x2  3 O 1.34-1.42
B (0.2632, 0.0216, 0.7273) x2  3 O 1.36-1.40
B (0.3798, 0.6203, 0.5951) x2  3 O 1.36-1.42
O (0.0158, 0.1794, 0.0251) x2  1 B 1.42
O (0.0898, 0.8546, 0.6446) x2  1 B 1.36
O (0.1118, 0.7517, 0.2212) x2  1 B 1.42
O (0.2222, 0.5779, 0.4282) x2  1 B 1.42
O (0.2385, 0.4579, 0.0196) x2  1 B 1.34
O (0.2832, 0.1513, 0.6560) x2  1 B 1.40
O (0.3366, 0.4868, 0.6589) x2  1 B 1.39
O (0.4233, 0.2260, 0.3215) x2  1 B 1.36
O (0.4272, 0.0733, 0.8908) x2  1 B 1.40

Computed properties:
**Energy of formation**: -2.39 eV/atom
**Calculated density**: 3.12 Mg/m³
**Raw total energy**: -7.563 eV/atom
**ΔE to the lowest computed polymorph**: 0.015 eV per atom



[3]
Entry from the Materials Project: V3Se2NO12 after structural relaxation (PBE+U).

a = 7.1823 Å, b = 7.1823 Å, c = 12.0187 Å
α = 90.00°, β = 90.00°, γ = 120.00°
With the nearest neighbours (Å) after each atom.
Space group P6_3 (No. 173)
Unique sites:
V (0.1310, 0.7961, 0.0000) x6  2 O 1.71
Se (0.0000, 0.0000, 0.2150) x2  3 O 1.74
Se (0.3333, 0.6667, 0.7822) x2  3 O 1.73
N (0.3333, 0.6667, 0.3071) x2  6 O 3.18-3.27
O (0.0858, 0.5431, 0.0270) x6  1 V 1.71
O (0.1182, 0.2524, 0.1524) x6  1 Se 1.74, 1 V 1.93
O (0.1200, 0.2448, 0.4695) x6  1 V 1.71
O (0.1998, 0.4146, 0.8430) x6  1 Se 1.73

Computed properties:
**Energy of formation**: -1.41 eV/atom
**Calculated density**: 3.20 Mg/m³
**Raw total energy**: -6.328 eV/atom



[4]
Entry from the Materials Project: Li9Mn2Co5O16 after structural relaxation (PBE+U).

a = 9.8168 Å, b = 2.9149 Å, c = 10.0910 Å
α = 90.00°, β = 99.92°, γ = 90.00°
With the nearest neighbours (Å) after each atom.
Space group P2/m (No. 10)
Unique sites:
Li (0.0000, 0.0000, 0.0000) x1  6 O 2.11-2.12
Li (0.2424, 0.5000, 0.1153) x2  6 O 2.15-2.21
Li (0.2444, 0.0000, 0.8789) x2  6 O 2.00-2.22
Li (0.2494, 0.0000, 0.3737) x2  6 O 2.04-2.20
Li (0.2517, 0.5000, 0.6240) x2  6 O 2.10-2.18
Mn (0.0030, 0.5000, 0.7549) x2  5 O 1.83-1.99
Co (0.0000, 0.0000, 0.5000) x1  6 O 1.94-1.95
Co (0.4983, 0.0000, 0.2496) x2  6 O 1.99-2.06
Co (0.5000, 0.5000, 0.0000) x1  6 O 2.01-2.05
Co (0.5000, 0.5000, 0.5000) x1  6 O 2.01-2.05
O (0.1062, 0.0000, 0.6807) x2  1 Co 1.94, 2 Mn 1.99
O (0.1057, 0.5000, 0.4383) x2  2 Co 1.95, 1 Mn 2.05, 1 Li 2.15
O (0.1100, 0.0000, 0.1985) x2  2 Mn 1.94, 2 Li 2.04-2.11
O (0.1179, 0.5000, 0.9183) x2  1 Mn 1.83, 2 Li 2.00
O (0.3827, 0.5000, 0.3110) x2  3 Co 2.01-2.05, 3 Li 2.13-2.20
O (0.3837, 0.0000, 0.0604) x2  3 Co 2.01-2.04, 3 Li 2.09-2.15
O (0.3839, 0.0000, 0.5604) x2  3 Co 2.01-2.06, 3 Li 2.11-2.12
O (0.3869, 0.5000, 0.8093) x2  3 Co 1.99-2.05, 3 Li 2.10-2.22

Computed properties:
**Energy of formation**: -1.86 eV/atom
**Calculated density**: 4.22 Mg/m³
**Raw total energy**: -5.848 eV/atom
**ΔE to the lowest computed polymorph**: 0.007 eV per atom



[5]
Entry from the Materials Project: SrCa7Ti3Mn5O21 after structural relaxation (PBE+U).

a = 7.7969 Å, b = 7.8187 Å, c = 7.9304 Å
α = 89.50°, β = 89.22°, γ = 89.42°
With the nearest neighbours (Å) after each atom.
Space group P1 (No. 1)
Unique sites:
Sr (0.0000, 0.0000, 0.0000) x1  4 O 2.46-2.62
Ca (0.0084, 0.5251, 0.4857) x1  4 O 2.26-2.41
Ca (0.0271, 0.5406, 0.9752) x1  7 O 2.41-2.65
Ca (0.0293, 0.0022, 0.5282) x1  6 O 2.35-2.56
Ca (0.4737, 0.9679, 0.0216) x1  3 O 2.34-2.55
Ca (0.4814, 0.5353, 0.4943) x1  4 O 2.36-2.62
Ca (0.4905, 0.5624, 0.9981) x1  6 O 2.39-2.67
Ca (0.4936, 0.9876, 0.4624) x1  5 O 2.43-2.67
Ti (0.2708, 0.2692, 0.7568) x1  5 O 1.80-1.97
Ti (0.7344, 0.2766, 0.2503) x1  4 O 1.80-1.95
Ti (0.7347, 0.2837, 0.7832) x1  4 O 1.79-1.84
Mn (0.2162, 0.2649, 0.2649) x1  4 O 2.04-2.28
Mn (0.2425, 0.7590, 0.2548) x1  5 O 1.90-1.98
Mn (0.2640, 0.7677, 0.7498) x1  6 O 1.93-2.09
Mn (0.7439, 0.7636, 0.2482) x1  5 O 1.96-1.99
Mn (0.7708, 0.7632, 0.7412) x1  4 O 1.93-2.06
O (0.0162, 0.7812, 0.7613) x1  2 Mn 1.93
O (0.1688, 0.2633, 0.9766) x1  1 Ti 1.91
O (0.1786, 0.2815, 0.5495) x1  1 Ti 1.80
O (0.1823, 0.5225, 0.2391) x1  2 Mn 1.92-2.04
O (0.2389, 0.7506, 0.4944) x1  2 Mn 1.90-2.04
O (0.2484, 0.7732, 0.0130) x1  2 Mn 1.92-2.09
O (0.2574, 0.0073, 0.2618) x1  2 Mn 1.95-2.04
O (0.2644, 0.5206, 0.7781) x1  1 Mn 1.94, 1 Ti 1.97
O (0.2847, 0.0197, 0.7494) x1  1 Ti 1.95, 1 Mn 1.98
O (0.4940, 0.7259, 0.2518) x1  2 Mn 1.97-1.98
O (0.5116, 0.2921, 0.7224) x1  2 Ti 1.81-1.90
O (0.5158, 0.2753, 0.3477) x1  1 Ti 1.86
O (0.5191, 0.7507, 0.7482) x1  2 Mn 1.97-1.99
O (0.7009, 0.0090, 0.2057) x1  1 Mn 1.97, 1 Ti 2.14
O (0.7267, 0.3124, 0.0126) x1  2 Ti 1.84-1.90
O (0.7642, 0.7324, 0.9997) x1  2 Mn 1.99-2.06
O (0.7746, 0.5181, 0.2902) x1  1 Ti 1.95, 1 Mn 1.96
O (0.7847, 0.8074, 0.4873) x1  2 Mn 1.96-2.04
O (0.8287, 0.0782, 0.7393) x1  1 Ti 1.79
O (0.8346, 0.4767, 0.7108) x1  1 Ti 1.79
O (0.9390, 0.2171, 0.3364) x1  1 Ti 1.80

Computed properties:
**Energy of formation**: -2.90 eV/atom
**Calculated density**: 3.86 Mg/m³
**Raw total energy**: -7.396 eV/atom
**ΔE to the lowest computed polymorph**: 0.024 eV per atom



[6]
Entry from the Materials Project: BaSrNdWO6 after structural relaxation (PBE+U).

a = 6.0685 Å, b = 6.0771 Å, c = 8.5394 Å
α = 90.12°, β = 90.81°, γ = 90.10°
With the nearest neighbours (Å) after each atom.
Space group P-1 (No. 2)
Unique sites:
Ba (0.0073, 0.0269, 0.2488) x2  7 O 2.68-2.99
Sr (0.4928, 0.5337, 0.2535) x2  5 O 2.57-2.85
Nd (0.0000, 0.5000, 0.5000) x1  6 O 2.35-2.38
Nd (0.5000, 0.0000, 0.0000) x1  6 O 2.35-2.38
W (0.0000, 0.5000, 0.0000) x1  6 O 2.02-2.04
W (0.5000, 0.0000, 0.5000) x1  6 O 2.00-2.07
O (0.0868, 0.4985, 0.7727) x2  1 W 2.02
O (0.2036, 0.7604, 0.0429) x2  1 W 2.04
O (0.2363, 0.8036, 0.4742) x2  1 W 2.00
O (0.2628, 0.3035, 0.0455) x2  1 W 2.03
O (0.3079, 0.2741, 0.4540) x2  1 W 2.07
O (0.4321, 0.0313, 0.7292) x2  1 W 2.01

Computed properties:
**Energy of formation**: -3.06 eV/atom
**Calculated density**: 6.85 Mg/m³
**Raw total energy**: -7.306 eV/atom
**ΔE to the lowest computed polymorph**: 0.000 eV per atom



[7]
Entry from the Materials Project: BaMnZnF7 after structural relaxation (PBE+U).

a = 5.7963 Å, b = 10.0338 Å, c = 9.6145 Å
α = 90.00°, β = 93.61°, γ = 90.00°
With the nearest neighbours (Å) after each atom.
Space group P2_1/c (No. 14)
Unique sites:
Ba (0.2310, 0.1864, 0.9999) x4  7 F 2.66-2.95
Mn (0.3065, 0.6097, 0.1890) x4  4 F 1.84-2.02
Zn (0.1967, 0.5998, 0.8078) x4  6 F 1.94-2.15
F (0.0221, 0.7164, 0.2554) x4  1 Mn 2.10, 1 Zn 2.15
F (0.1168, 0.5414, 0.6184) x4  1 Zn 1.94
F (0.1343, 0.0500, 0.6307) x4  1 Mn 1.95, 1 Zn 2.10
F (0.2413, 0.6883, 0.0109) x4  1 Mn 1.90
F (0.3740, 0.0595, 0.3787) x4  1 Zn 2.00, 1 Mn 2.06
F (0.3853, 0.5414, 0.3635) x4  1 Mn 1.84
F (0.4753, 0.7222, 0.7522) x4  1 Mn 2.02, 1 Zn 2.12

Computed properties:
**Energy of formation**: -3.16 eV/atom
**Calculated density**: 4.65 Mg/m³
**Raw total energy**: -5.242 eV/atom



[8]
Entry from the Materials Project: Mn3Cr3W2O16 after structural relaxation (PBE+U).

a = 5.9506 Å, b = 5.9616 Å, c = 9.2246 Å
α = 90.28°, β = 90.12°, γ = 119.94°
With the nearest neighbours (Å) after each atom.
Space group P1 (No. 1)
Unique sites:
Mn (0.0000, 0.0000, 0.0000) x1  6 O 1.90-2.09
Mn (0.1658, 0.3333, 0.5015) x1  6 O 1.92-2.07
Mn (0.6629, 0.8342, 0.4947) x1  4 O 1.90-2.12
Cr (0.4905, 0.9979, 0.0000) x1  6 O 1.97-2.06
Cr (0.6573, 0.3328, 0.4996) x1  6 O 1.98-2.07
Cr (0.9956, 0.5004, 0.9971) x1  6 O 1.97-2.08
W (0.1599, 0.8260, 0.2772) x1  6 O 1.88-2.07
W (0.4999, 0.5013, 0.7795) x1  6 O 1.89-2.08
O (0.0011, 0.5119, 0.3851) x1  1 W 1.91, 1 Cr 2.07, 1 Mn 2.07
O (0.0106, 0.9996, 0.3812) x1  1 W 1.92, 2 Mn 2.04-2.08
O (0.1549, 0.8361, 0.8958) x1  1 Mn 1.90, 2 Cr 1.98
O (0.1751, 0.3323, 0.8854) x1  1 W 1.94, 1 Mn 2.02, 1 Cr 2.07
O (0.2981, 0.1206, 0.1266) x1  1 Mn 1.93, 1 Cr 2.01, 1 W 2.07
O (0.3027, 0.6899, 0.1312) x1  1 W 1.97, 2 Cr 2.02
O (0.3305, 0.6238, 0.6323) x1  1 Mn 1.92, 1 W 2.03
O (0.3393, 0.2065, 0.6242) x1  1 Mn 1.92, 1 Cr 2.02, 1 W 2.08
O (0.4770, 0.0012, 0.3776) x1  1 W 1.88, 1 Cr 2.04
O (0.4881, 0.5036, 0.3986) x1  2 Mn 1.92, 1 Cr 1.99
O (0.6469, 0.3323, 0.8834) x1  1 W 1.89, 2 Cr 2.04-2.08
O (0.6520, 0.8177, 0.8835) x1  1 W 1.89, 1 Cr 2.06, 1 Mn 2.09
O (0.7769, 0.6292, 0.6383) x1  1 W 1.94, 1 Cr 2.00, 1 Mn 2.13
O (0.8304, 0.1601, 0.5922) x1  2 Mn 1.90-1.93, 1 Cr 1.98
O (0.8333, 0.1630, 0.0945) x1  1 Mn 1.91, 2 Cr 1.97
O (0.8724, 0.6967, 0.1264) x1  1 Mn 1.96, 1 W 2.03, 1 Cr 2.04

Computed properties:
**Energy of formation**: -2.05 eV/atom
**Calculated density**: 5.53 Mg/m³
**Raw total energy**: -7.498 eV/atom
**ΔE to the lowest computed polymorph**: 0.000 eV per atom



[9]
Entry from the Materials Project: Fe5P6O22 after structural relaxation (PBE+U).

a = 12.6614 Å, b = 6.6812 Å, c = 10.5491 Å
α = 90.00°, β = 104.54°, γ = 90.00°
With the nearest neighbours (Å) after each atom.
Space group P2_1/c (No. 14)
Unique sites:
Fe (0.0000, 0.0000, 0.0000) x2  6 O 1.97-2.05
Fe (0.1394, 0.2390, 0.2892) x4  5 O 1.98-2.10
Fe (0.3353, 0.5016, 0.2974) x4  4 O 1.94-2.09
P (0.0868, 0.7419, 0.7760) x4  4 O 1.52-1.59
P (0.2580, 0.1175, 0.0729) x4  4 O 1.52-1.58
P (0.4187, 0.6993, 0.5891) x4  4 O 1.51-1.63
O (0.0013, 0.2111, 0.8598) x4  1 P 1.59
O (0.0036, 0.7124, 0.3623) x4  1 P 1.59
O (0.1517, 0.5533, 0.8216) x4  1 P 1.52
O (0.1602, 0.5219, 0.5530) x4  1 P 1.52
O (0.1617, 0.5769, 0.2705) x4  1 P 1.55
O (0.2492, 0.2200, 0.6738) x4  1 P 1.54
O (0.2711, 0.2002, 0.9418) x4  1 P 1.54
O (0.3666, 0.0004, 0.1390) x4  2 P 1.58-1.63
O (0.3696, 0.6238, 0.1459) x4  1 P 1.53
O (0.3850, 0.6957, 0.4390) x4  1 P 1.53
O (0.4598, 0.1791, 0.8518) x4  1 P 1.51

Computed properties:
**Energy of formation**: -2.34 eV/atom
**Calculated density**: 3.14 Mg/m³
**Raw total energy**: -7.109 eV/atom



[10]
Entry from the Materials Project: LaCrMoO6 after structural relaxation (PBE+U).

a = 5.5007 Å, b = 5.5046 Å, c = 5.5097 Å
α = 119.85°, β = 119.75°, γ = 90.26°
With the nearest neighbours (Å) after each atom.
Space group P1 (No. 1)
Unique sites:
La (0.0000, 0.0000, 0.0000) x1  6 O 2.49-2.78
Cr (0.2539, 0.7488, 0.4934) x1  2 O 1.54-1.69
Mo (0.7563, 0.2498, 0.4937) x1  4 O 1.93-2.00
O (0.0454, 0.4881, 0.4539) x1  1 Cr 1.69
O (0.4426, 0.0071, 0.5536) x1  1 Cr 1.54
O (0.5308, 0.0279, 0.9849) x1  1 Cr 1.94, 1 Mo 2.00, 1 O 2.12
O (0.5526, 0.5398, 0.4661) x1  1 Mo 1.98, 1 Cr 2.03
O (0.9696, 0.9720, 0.4917) x1  1 Mo 1.93, 1 Cr 1.99
O (0.9836, 0.4559, 0.0004) x1  1 Cr 1.95, 1 Mo 2.00

Computed properties:
**Energy of formation**: -2.02 eV/atom
**Calculated density**: 5.37 Mg/m³
**Raw total energy**: -7.111 eV/atom



[11]
Entry from the Materials Project: Cr2H8N2O7 after structural relaxation (PBE+U).

a = 13.4673 Å, b = 7.6079 Å, c = 7.8319 Å
α = 90.00°, β = 93.23°, γ = 90.00°
With the nearest neighbours (Å) after each atom.
Space group C2/c (No. 15)
Unique sites:
Cr (0.1008, 0.1685, 0.3604) x8  4 O 1.61-1.80
H (0.1017, 0.3029, 0.7335) x8  1 N 1.04
H (0.1095, 0.3111, 0.9520) x8  1 N 1.03
H (0.1494, 0.4804, 0.8343) x8  1 N 1.04
H (0.2136, 0.2877, 0.8398) x8  1 N 1.04
N (0.1435, 0.3449, 0.8420) x8  4 H 1.03-1.04
O (0.0000, 0.0524, 0.2500) x4  2 Cr 1.80
O (0.0561, 0.3012, 0.5023) x8  1 Cr 1.64
O (0.1587, 0.2892, 0.2212) x8  1 Cr 1.65
O (0.1770, 0.0287, 0.4511) x8  1 Cr 1.61

Computed properties:
**Energy of formation**: -1.08 eV/atom
**Calculated density**: 2.09 Mg/m³
**Raw total energy**: -5.765 eV/atom